Below is a relaxed CsAu2F7 crystal, with properties calculated at the r²SCAN level.

```
20
Lattice="5.704 -5.383 0.000 5.704 5.383 0.000 -4.239 0.000 6.047" Properties=species:S:1:pos:R:3 pbc="T T T"
Cs 2.524 3.296 4.536
Cs 4.644 -3.296 1.512
Au 2.952 1.087 0.878
Au 0.832 -1.087 3.902
Au 6.336 1.087 2.146
Au 4.216 -1.087 5.170
F 2.018 2.698 1.428
F 1.297 0.346 0.280
F -0.822 -0.346 3.303
F 1.773 0.500 3.328
F 4.644 1.976 1.512
F 3.893 -0.500 0.305
F 7.270 2.698 1.596
F -0.101 -2.698 4.451
F 3.276 0.500 5.743
F 2.524 -1.976 4.536
F 5.396 -0.500 2.719
F 7.991 0.346 2.744
F 5.871 -0.346 5.768
F 5.150 -2.698 4.620
```

Output
Electronic total energy, eV/atom: -16.4166
Crystal system: monoclinic
Formation energy from the elements, eV/f.u.: -16.006
Magnetic moment, μB per formula unit: 0.00